This record from Materials Project describes Li24Ti5Cr7O36 after structural relaxation. The functional is PBE+U.

The total magnetization is 14.00 μB per formula unit. The calculation puts the energy relative to the elements at -2.543 eV per atom. The energy relative to the lowest polymorph listed for this composition is 0 meV/atom. The total energy is -6.60 eV per atom.

CIF file:
```
data_Li24Ti5Cr7O36
_chemical_formula_sum 'Li24 Ti5 Cr7 O36'
_cell_length_a 5.052
_cell_length_b 9.781
_cell_length_c 13.412
_cell_angle_alpha 80.94
_cell_angle_beta 79.18
_cell_angle_gamma 85.34
_symmetry_space_group_name_H-M 'P 1'
_symmetry_Int_Tables_number 1
loop_
_symmetry_equiv_pos_as_xyz
'x,y,z'
loop_
_atom_site_label
_atom_site_fract_x
_atom_site_fract_y
_atom_site_fract_z
Li1 0.000 0.000 0.000
Li2 0.010 0.750 0.694
Li3 0.028 0.501 0.391
Li4 0.094 0.001 0.779
Li5 0.160 0.501 0.165
Li6 0.179 0.250 0.862
Li7 0.192 0.001 0.556
Li8 0.258 0.500 0.946
Li9 0.331 0.998 0.335
Li10 0.341 0.749 0.029
Li11 0.365 0.498 0.728
Li12 0.417 0.998 0.113
Li13 0.491 0.497 0.498
Li14 0.512 0.249 0.196
Li15 0.525 0.998 0.891
Li16 0.584 0.496 0.279
Li17 0.659 0.998 0.667
Li18 0.677 0.750 0.362
Li19 0.698 0.496 0.061
Li20 0.759 0.000 0.446
Li21 0.820 0.501 0.830
Li22 0.841 0.249 0.530
Li23 0.861 0.002 0.223
Li24 0.936 0.501 0.612
Ti1 0.568 0.747 0.586
Ti2 0.629 0.244 0.970
Ti3 0.791 0.746 0.140
Ti4 0.894 0.754 0.918
Ti5 0.950 0.257 0.305
Cr1 0.072 0.250 0.085
Cr2 0.120 0.753 0.471
Cr3 0.236 0.748 0.253
Cr4 0.289 0.247 0.644
Cr5 0.390 0.248 0.421
Cr6 0.450 0.749 0.806
Cr7 0.734 0.251 0.747
O1 0.018 0.862 0.355
O2 0.056 0.365 0.726
O3 0.094 0.861 0.138
O4 0.101 0.136 0.423
O5 0.150 0.635 0.825
O6 0.165 0.138 0.204
O7 0.193 0.359 0.516
O8 0.209 0.866 0.898
O9 0.258 0.364 0.302
O10 0.259 0.637 0.587
O11 0.312 0.133 0.992
O12 0.336 0.638 0.371
O13 0.354 0.861 0.687
O14 0.371 0.364 0.064
O15 0.419 0.137 0.753
O16 0.424 0.861 0.468
O17 0.477 0.633 0.160
O18 0.495 0.136 0.545
O19 0.526 0.361 0.848
O20 0.536 0.865 0.232
O21 0.590 0.638 0.920
O22 0.602 0.362 0.637
O23 0.638 0.135 0.330
O24 0.671 0.634 0.706
O25 0.688 0.865 0.017
O26 0.708 0.364 0.400
O27 0.757 0.862 0.800
O28 0.764 0.138 0.089
O29 0.818 0.634 0.492
O30 0.834 0.136 0.871
O31 0.849 0.365 0.184
O32 0.876 0.867 0.565
O33 0.929 0.638 0.257
O34 0.931 0.361 0.969
O35 0.964 0.135 0.663
O36 0.997 0.636 0.041
```